Entry 1:
LiY2Fe4O8: optimized geometry, PBE+U.

## Properties
excess energy over the best structure of this formula in the dataset: 0.0693 eV per atom
space-group type: P1 (1)
volume: 194 Å³/cell
size of the total moment: 1.133 μB per atom

abc: 6.4264 6.4708 6.4890
angles: 119.08 119.63 90.10
Sites, in units of the cell vectors:
Li: 0.0000 0.0000 0.0000
Y: 0.2476 0.7416 0.4951
Y: 0.5069 0.5199 0.0135
Fe: 0.4067 0.1433 0.2783
Fe: 0.8642 0.1346 0.7286
Fe: 0.8639 0.5931 0.7274
Fe: 0.8718 0.1438 0.2784
O: 0.0959 0.3842 0.7410
O: 0.1023 0.8634 0.2046
O: 0.1033 0.8692 0.7633
O: 0.1148 0.3341 0.2295
O: 0.6402 0.9223 0.2804
O: 0.6452 0.3837 0.7408
O: 0.6487 0.3915 0.2970
O: 0.6600 0.8689 0.7630

Entry 2:
Li2Mn2Si2O9: optimized geometry, PBE+U.

## Properties
space-group type: Pbcn (60)
volume: 602 Å³/cell
size of the total moment: 0.400 μB per atom
raw total energy: -7.0042 eV/atom

abc: 8.4269 5.1293 13.9313
angles: 90.00 90.00 90.00
Sites, in units of the cell vectors:
Li: 0.0536 0.1349 0.1609
Li: 0.0536 0.8651 0.6609
Li: 0.4464 0.3651 0.6609
Li: 0.4464 0.6349 0.1609
Li: 0.5536 0.3651 0.8391
Li: 0.5536 0.6349 0.3391
Li: 0.9464 0.1349 0.3391
Li: 0.9464 0.8651 0.8391
Mn: 0.1585 0.3781 0.8297
Mn: 0.1585 0.6219 0.3297
Mn: 0.3415 0.1219 0.3297
Mn: 0.3415 0.8781 0.8297
Mn: 0.6585 0.1219 0.1703
Mn: 0.6585 0.8781 0.6703
Mn: 0.8415 0.3781 0.6703
Mn: 0.8415 0.6219 0.1703
Si: 0.1532 0.2842 0.5281
Si: 0.1532 0.7158 0.0281
Si: 0.3468 0.2158 0.0281
Si: 0.3468 0.7842 0.5281
Si: 0.6532 0.2158 0.4719
Si: 0.6532 0.7842 0.9719
Si: 0.8468 0.2842 0.9719
Si: 0.8468 0.7158 0.4719
O: 0.0000 0.4715 0.2500
O: 0.0000 0.5285 0.7500
O: 0.0179 0.2257 0.9252
O: 0.0179 0.7743 0.4252
O: 0.1561 0.2868 0.4089
O: 0.1561 0.7132 0.9089
O: 0.1765 0.0609 0.7649
O: 0.1765 0.9391 0.2649
O: 0.2270 0.4433 0.0691
O: 0.2270 0.5567 0.5691
O: 0.2730 0.0567 0.5691
O: 0.2730 0.9433 0.0691
O: 0.3235 0.4391 0.2649
O: 0.3235 0.5609 0.7649
O: 0.3439 0.2132 0.9089
O: 0.3439 0.7868 0.4089
O: 0.4821 0.2743 0.4252
O: 0.4821 0.7257 0.9252
O: 0.5000 0.0285 0.7500
O: 0.5000 0.9715 0.2500
O: 0.5179 0.2743 0.0748
O: 0.5179 0.7257 0.5748
O: 0.6561 0.2132 0.5911
O: 0.6561 0.7868 0.0911
O: 0.6765 0.4391 0.2351
O: 0.6765 0.5609 0.7351
O: 0.7270 0.0567 0.9309
O: 0.7270 0.9433 0.4309
O: 0.7730 0.4433 0.4309
O: 0.7730 0.5567 0.9309
O: 0.8235 0.0609 0.7351
O: 0.8235 0.9391 0.2351
O: 0.8439 0.2868 0.0911
O: 0.8439 0.7132 0.5911
O: 0.9821 0.2257 0.5748
O: 0.9821 0.7743 0.0748

Entry 3:
Li3MnPO5: optimized geometry, PBE+U.

## Properties
space-group type: Pna2_1 (33)
volume: 445 Å³/cell
size of the total moment: 0.500 μB per atom
raw total energy: -6.5172 eV/atom

abc: 5.5072 16.0311 5.0386
angles: 90.00 90.00 90.00
Sites, in units of the cell vectors:
Li: 0.1623 0.0937 0.0000
Li: 0.1703 0.5045 0.9999
Li: 0.1728 0.6960 0.9751
Li: 0.3272 0.1960 0.4751
Li: 0.3297 0.0045 0.4999
Li: 0.3377 0.5937 0.5000
Li: 0.6623 0.4063 0.0000
Li: 0.6703 0.9955 0.9999
Li: 0.6728 0.8040 0.9751
Li: 0.8272 0.3040 0.4751
Li: 0.8297 0.4955 0.4999
Li: 0.8377 0.9063 0.5000
Mn: 0.1730 0.2997 0.0006
Mn: 0.3270 0.7997 0.5006
Mn: 0.6730 0.2003 0.0006
Mn: 0.8270 0.7003 0.5006
P: 0.1646 0.9032 0.9929
P: 0.3354 0.4032 0.4929
P: 0.6646 0.5968 0.9929
P: 0.8354 0.0968 0.4929
O: 0.1007 0.0977 0.5965
O: 0.1662 0.9086 0.6824
O: 0.1759 0.6908 0.5956
O: 0.1893 0.4787 0.6045
O: 0.2058 0.3195 0.5754
O: 0.2942 0.8195 0.0754
O: 0.3107 0.9787 0.1045
O: 0.3241 0.1908 0.0956
O: 0.3338 0.4086 0.1824
O: 0.3993 0.5977 0.0965
O: 0.6007 0.4023 0.5965
O: 0.6662 0.5914 0.6824
O: 0.6759 0.8092 0.5956
O: 0.6893 0.0213 0.6045
O: 0.7058 0.1805 0.5754
O: 0.7942 0.6805 0.0754
O: 0.8107 0.5213 0.1045
O: 0.8241 0.3092 0.0956
O: 0.8338 0.0914 0.1824
O: 0.8993 0.9023 0.0965

Entry 4:
EuNbCrBiO6: optimized geometry, PBE+U.

## Properties
space-group type: F-43m (216)
volume: 129 Å³/cell
size of the total moment: 0.917 μB per atom
raw total energy: -8.2182 eV/atom

abc: 5.6700 5.6700 5.6700
angles: 60.00 60.00 60.00
Sites, in units of the cell vectors:
Eu: 0.0000 0.0000 0.0000
Nb: 0.2500 0.2500 0.2500
Cr: 0.7500 0.7500 0.7500
Bi: 0.5000 0.5000 0.5000
O: 0.5015 0.5015 0.9985
O: 0.5015 0.9985 0.5015
O: 0.5015 0.9985 0.9985
O: 0.9985 0.5015 0.5015
O: 0.9985 0.5015 0.9985
O: 0.9985 0.9985 0.5015

Entry 5:
Li2FePCO7: optimized geometry, PBE+U.

## Properties
excess energy over the best structure of this formula in the dataset: 0.0054 eV per atom
volume: 548 Å³/cell
size of the total moment: 0.000 μB per atom

abc: 8.2446 8.2461 9.2777
angles: 73.82 106.17 76.62
Sites, in units of the cell vectors:
O: 0.6442 0.0859 0.4276
O: 0.1328 0.1300 0.9253
O: 0.2969 0.1393 0.3092
Li: 0.4282 0.3162 0.9017
C: 0.7352 0.0132 0.0475
Li: 0.9282 0.8162 0.9017
O: 0.4433 0.3395 0.5389
P: 0.2990 0.4532 0.5831
P: 0.7990 0.9532 0.5831
O: 0.7969 0.6393 0.3092
C: 0.2633 0.9852 0.9525
O: 0.5896 0.6934 0.4611
O: 0.0896 0.1934 0.4611
O: 0.2609 0.9495 0.8228
Li: 0.5662 0.6783 0.0983
Li: 0.5041 0.9602 0.2730
C: 0.2352 0.5133 0.0475
Fe: 0.5652 0.6923 0.6702
P: 0.7031 0.5490 0.4169
Li: 0.0662 0.1783 0.0983
P: 0.2031 0.0490 0.4169
C: 0.7633 0.4853 0.9525
O: 0.8896 0.0466 0.6909
O: 0.6328 0.6300 0.9253
O: 0.3800 0.3829 0.0747
O: 0.6410 0.1344 0.9105
O: 0.0796 0.9840 0.3031
O: 0.3356 0.8940 0.5724
O: 0.1994 0.5107 0.1772
O: 0.9433 0.8395 0.5389
O: 0.6994 0.0107 0.1772
O: 0.2336 0.3300 0.6967
O: 0.8356 0.3940 0.5724
Li: 0.0041 0.4602 0.2730
Fe: 0.0652 0.1923 0.6702
Li: 0.7102 0.2542 0.7270
O: 0.8844 0.3910 0.0896
O: 0.3844 0.8910 0.0896
O: 0.1442 0.5859 0.4276
Fe: 0.9424 0.8152 0.3299
Li: 0.2102 0.7541 0.7270
O: 0.7336 0.8300 0.6967
O: 0.5796 0.4840 0.3031
O: 0.1410 0.6344 0.9104
O: 0.7609 0.4495 0.8228
O: 0.3896 0.5466 0.6909
Fe: 0.4424 0.3152 0.3298
O: 0.8800 0.8828 0.0747

Entry 6:
Na3Mn2P2C2O14: optimized geometry, PBE+U.

## Properties
excess energy over the best structure of this formula in the dataset: 0.0101 eV per atom
space-group type: P1 (1)
volume: 305 Å³/cell
size of the total moment: 0.304 μB per atom

abc: 5.1867 6.5832 8.9242
angles: 91.14 91.45 90.38
Sites, in units of the cell vectors:
Na: 0.0000 0.0000 0.0000
Na: 0.0029 0.5175 0.0025
Na: 0.4874 0.4910 0.5178
Mn: 0.0349 0.7729 0.4178
Mn: 0.4638 0.2601 0.1107
P: 0.5327 0.7607 0.1888
P: 0.9581 0.2636 0.3377
C: 0.5145 0.2576 0.8361
C: 0.9774 0.7581 0.6864
O: 0.0238 0.0775 0.4311
O: 0.0329 0.4535 0.4344
O: 0.1008 0.2614 0.1855
O: 0.2020 0.7641 0.6220
O: 0.2926 0.2544 0.9070
O: 0.3874 0.7544 0.3367
O: 0.4615 0.9470 0.0935
O: 0.4650 0.5733 0.0866
O: 0.5351 0.2635 0.6992
O: 0.6627 0.2739 0.2972
O: 0.7111 0.2557 0.9345
O: 0.7856 0.7602 0.5874
O: 0.8316 0.7618 0.2236
O: 0.9501 0.7520 0.8249

Entry 7:
Na2Mo3O13: optimized geometry, PBE+U.

## Properties
excess energy over the best structure of this formula in the dataset: 0.0774 eV per atom
space-group type: Cm (8)
volume: 303 Å³/cell
size of the total moment: 0.333 μB per atom

abc: 8.7343 8.7343 10.9897
angles: 121.05 121.05 25.22
Sites, in units of the cell vectors:
Na: 0.0000 0.0000 0.0000
Na: 0.6066 0.6066 0.5477
Mo: 0.2316 0.2316 0.0311
Mo: 0.7062 0.7062 0.2925
Mo: 0.9137 0.9137 0.2752
O: 0.0260 0.0260 0.4288
O: 0.1121 0.1121 0.9261
O: 0.2169 0.2169 0.2529
O: 0.2641 0.2641 0.9074
O: 0.3744 0.3744 0.2356
O: 0.3978 0.3978 0.8393
O: 0.4596 0.4596 0.5777
O: 0.5926 0.5926 0.1363
O: 0.6911 0.6911 0.4369
O: 0.7519 0.7519 0.0901
O: 0.8143 0.8143 0.7647
O: 0.8416 0.8416 0.3744
O: 0.9326 0.9326 0.1332

Entry 8:
Pr16Mo21O56: optimized geometry, PBE+U.

## Properties
space-group type: P2_1/c (14)
volume: 2567 Å³/cell
size of the total moment: 0.108 μB per atom
raw total energy: -7.6364 eV/atom

abc: 13.8023 13.7814 13.7536
angles: 90.00 101.10 90.00
Sites, in units of the cell vectors:
Pr: 0.1062 0.1125 0.0466
Pr: 0.1062 0.3875 0.5466
Pr: 0.1270 0.6693 0.6366
Pr: 0.1270 0.8307 0.1366
Pr: 0.1326 0.1977 0.7722
Pr: 0.1326 0.3023 0.2722
Pr: 0.1489 0.5866 0.3724
Pr: 0.1489 0.9134 0.8724
Pr: 0.3090 0.6277 0.1403
Pr: 0.3090 0.8723 0.6403
Pr: 0.3161 0.1879 0.5691
Pr: 0.3161 0.3121 0.0691
Pr: 0.3508 0.6650 0.8550
Pr: 0.3508 0.8350 0.3550
Pr: 0.3694 0.1200 0.2708
Pr: 0.3694 0.3800 0.7708
Pr: 0.6306 0.6200 0.2292
Pr: 0.6306 0.8800 0.7292
Pr: 0.6492 0.1650 0.6450
Pr: 0.6492 0.3350 0.1450
Pr: 0.6839 0.6879 0.9309
Pr: 0.6839 0.8121 0.4309
Pr: 0.6910 0.1277 0.3597
Pr: 0.6910 0.3723 0.8597
Pr: 0.8511 0.0866 0.1276
Pr: 0.8511 0.4134 0.6276
Pr: 0.8674 0.6977 0.7278
Pr: 0.8674 0.8023 0.2278
Pr: 0.8730 0.1693 0.8634
Pr: 0.8730 0.3307 0.3634
Pr: 0.8938 0.6125 0.4534
Pr: 0.8938 0.8875 0.9534
Mo: 0.0452 0.5032 0.7723
Mo: 0.0452 0.9968 0.2723
Mo: 0.0479 0.1448 0.4181
Mo: 0.0479 0.3552 0.9181
Mo: 0.0744 0.6540 0.9346
Mo: 0.0744 0.8460 0.4346
Mo: 0.0909 0.0106 0.5794
Mo: 0.0909 0.4894 0.0794
Mo: 0.2087 0.0095 0.4215
Mo: 0.2087 0.4905 0.9215
Mo: 0.3475 0.5607 0.5693
Mo: 0.3475 0.9393 0.0693
Mo: 0.3480 0.0976 0.9156
Mo: 0.3480 0.4024 0.4156
Mo: 0.4732 0.0803 0.7707
Mo: 0.4732 0.4197 0.2707
Mo: 0.4788 0.5731 0.4162
Mo: 0.4788 0.9269 0.9162
Mo: 0.4804 0.7236 0.5735
Mo: 0.4804 0.7764 0.0735
Mo: 0.5000 0.0000 0.5000
Mo: 0.5000 0.5000 0.0000
Mo: 0.5196 0.2236 0.9265
Mo: 0.5196 0.2764 0.4265
Mo: 0.5212 0.0731 0.0838
Mo: 0.5212 0.4269 0.5838
Mo: 0.5268 0.5803 0.7293
Mo: 0.5268 0.9197 0.2293
Mo: 0.6520 0.5976 0.5844
Mo: 0.6520 0.9024 0.0844
Mo: 0.6525 0.0607 0.9307
Mo: 0.6525 0.4393 0.4307
Mo: 0.7913 0.5095 0.0785
Mo: 0.7913 0.9905 0.5785
Mo: 0.9091 0.5106 0.9206
Mo: 0.9091 0.9894 0.4206
Mo: 0.9256 0.1540 0.5654
Mo: 0.9256 0.3460 0.0654
Mo: 0.9521 0.6448 0.0819
Mo: 0.9521 0.8552 0.5819
Mo: 0.9548 0.0032 0.7277
Mo: 0.9548 0.4968 0.2277
O: 0.0073 0.5047 0.6134
O: 0.0073 0.9953 0.1134
O: 0.0281 0.1415 0.2630
O: 0.0281 0.3585 0.7630
O: 0.0406 0.2090 0.9043
O: 0.0406 0.2910 0.4043
O: 0.0447 0.6548 0.7818
O: 0.0447 0.8452 0.2818
O: 0.0691 0.6970 0.4533
O: 0.0691 0.8030 0.9533
O: 0.0821 0.1656 0.5765
O: 0.0821 0.3344 0.0765
O: 0.1057 0.0214 0.7323
O: 0.1057 0.4786 0.2323
O: 0.1105 0.6473 0.0939
O: 0.1105 0.8527 0.5939
O: 0.1861 0.5143 0.7638
O: 0.1861 0.9857 0.2638
O: 0.1944 0.1620 0.4164
O: 0.1944 0.3380 0.9164
O: 0.1954 0.5471 0.5457
O: 0.1954 0.9529 0.0457
O: 0.2034 0.1065 0.9154
O: 0.2034 0.3935 0.4154
O: 0.2253 0.6409 0.9474
O: 0.2253 0.8591 0.4474
O: 0.2387 0.2078 0.1732
O: 0.2387 0.2922 0.6732
O: 0.2437 0.0271 0.5788
O: 0.2437 0.4729 0.0788
O: 0.2494 0.7302 0.2522
O: 0.2494 0.7698 0.7522
O: 0.3248 0.5534 0.4087
O: 0.3248 0.9466 0.9087
O: 0.3292 0.1022 0.7683
O: 0.3292 0.3978 0.2683
O: 0.3349 0.7137 0.5709
O: 0.3349 0.7863 0.0709
O: 0.3589 0.0177 0.4103
O: 0.3589 0.4823 0.9103
O: 0.3659 0.0974 0.0739
O: 0.3659 0.4026 0.5739
O: 0.3691 0.2466 0.9175
O: 0.3691 0.2534 0.4175
O: 0.3795 0.5597 0.7231
O: 0.3795 0.9403 0.2231
O: 0.4523 0.6243 0.0588
O: 0.4523 0.8757 0.5588
O: 0.4593 0.5684 0.2608
O: 0.4593 0.9316 0.7608
O: 0.4622 0.0859 0.6124
O: 0.4622 0.4141 0.1124
O: 0.4700 0.7216 0.4264
O: 0.4700 0.7784 0.9264
O: 0.4850 0.2315 0.7745
O: 0.4850 0.2685 0.2745
O: 0.5150 0.7315 0.7255
O: 0.5150 0.7685 0.2255
O: 0.5300 0.2216 0.0736
O: 0.5300 0.2784 0.5736
O: 0.5378 0.5859 0.8876
O: 0.5378 0.9141 0.3876
O: 0.5407 0.0684 0.2392
O: 0.5407 0.4316 0.7392
O: 0.5477 0.1243 0.4412
O: 0.5477 0.3757 0.9412
O: 0.6205 0.0597 0.7769
O: 0.6205 0.4403 0.2769
O: 0.6309 0.7466 0.5825
O: 0.6309 0.7534 0.0825
O: 0.6341 0.5974 0.4261
O: 0.6341 0.9026 0.9261
O: 0.6411 0.5177 0.0897
O: 0.6411 0.9823 0.5897
O: 0.6651 0.2137 0.9291
O: 0.6651 0.2863 0.4291
O: 0.6708 0.6022 0.7317
O: 0.6708 0.8978 0.2317
O: 0.6752 0.0534 0.0913
O: 0.6752 0.4466 0.5913
O: 0.7506 0.2302 0.2478
O: 0.7506 0.2698 0.7478
O: 0.7563 0.5271 0.9212
O: 0.7563 0.9729 0.4212
O: 0.7613 0.7078 0.3268
O: 0.7613 0.7922 0.8268
O: 0.7747 0.1409 0.5526
O: 0.7747 0.3591 0.0526
O: 0.7966 0.6065 0.5846
O: 0.7966 0.8935 0.0846
O: 0.8046 0.0471 0.9543
O: 0.8046 0.4529 0.4543
O: 0.8056 0.6620 0.0836
O: 0.8056 0.8380 0.5836
O: 0.8139 0.0143 0.7362
O: 0.8139 0.4857 0.2362
O: 0.8895 0.1473 0.4061
O: 0.8895 0.3527 0.9061
O: 0.8943 0.5214 0.7677
O: 0.8943 0.9786 0.2677
O: 0.9179 0.6656 0.9235
O: 0.9179 0.8344 0.4235
O: 0.9309 0.1970 0.0467
O: 0.9309 0.3030 0.5467
O: 0.9553 0.1548 0.7182
O: 0.9553 0.3452 0.2182
O: 0.9594 0.7090 0.5957
O: 0.9594 0.7910 0.0957
O: 0.9719 0.6415 0.2370
O: 0.9719 0.8585 0.7370
O: 0.9927 0.0047 0.8866
O: 0.9927 0.4953 0.3866